No. 1
! GGA+U FeP3O9, relaxed; values from VASP
! ΔE to the lowest computed polymorph, eV/atom: 0.065
! Calculated volume, Å³/cell: 707.2
! E, eV per atom: -7.09
&SYSTEM
  ibrav = 0, nat = 52, ntyp = 3
/
ATOMIC_SPECIES
Fe 55.84 Fe.upf
P 30.97 P.upf
O 16.00 O.upf
ATOMIC_POSITIONS crystal
Fe 0.195 0.393 0.294
Fe 0.276 0.759 0.227
Fe 0.724 0.241 0.773
Fe 0.805 0.607 0.706
P 0.068 0.204 0.909
P 0.109 0.502 0.851
P 0.166 0.932 0.806
P 0.300 0.567 0.670
P 0.341 0.992 0.598
P 0.407 0.316 0.579
P 0.593 0.684 0.421
P 0.659 0.008 0.402
P 0.700 0.433 0.330
P 0.834 0.068 0.194
P 0.891 0.498 0.149
P 0.932 0.796 0.091
O 0.010 0.773 0.739
O 0.075 0.535 0.190
O 0.093 0.068 0.802
O 0.117 0.847 0.147
O 0.134 0.516 0.702
O 0.136 0.345 0.850
O 0.175 0.263 0.086
O 0.200 0.920 0.648
O 0.224 0.538 0.493
O 0.236 0.643 0.006
O 0.302 0.133 0.550
O 0.306 0.861 0.449
O 0.313 0.982 0.954
O 0.339 0.410 0.680
O 0.360 0.328 0.418
O 0.406 0.626 0.318
O 0.437 0.721 0.793
O 0.485 0.927 0.265
O 0.515 0.073 0.735
O 0.563 0.279 0.207
O 0.594 0.374 0.682
O 0.640 0.672 0.582
O 0.661 0.590 0.320
O 0.687 0.018 0.046
O 0.694 0.139 0.551
O 0.698 0.867 0.450
O 0.764 0.357 0.994
O 0.776 0.462 0.507
O 0.800 0.080 0.352
O 0.825 0.737 0.914
O 0.864 0.655 0.150
O 0.866 0.484 0.298
O 0.883 0.153 0.853
O 0.907 0.932 0.198
O 0.925 0.465 0.810
O 0.990 0.227 0.261
CELL_PARAMETERS angstrom
9.451 0.000 0.000
-3.002 8.967 0.000
-3.231 -3.635 8.345

No. 2
! GGA+U Li14Co13O28, relaxed; values from VASP
! Calculated volume, Å³/cell: 458.8
! E, eV per atom: -5.66
&SYSTEM
  ibrav = 0, nat = 55, ntyp = 3
/
ATOMIC_SPECIES
Li 6.94 Li.upf
Co 58.93 Co.upf
O 16.00 O.upf
ATOMIC_POSITIONS crystal
Li 0.000 0.000 0.000
Li 0.067 0.223 0.792
Li 0.143 0.429 0.568
Li 0.207 0.639 0.346
Li 0.276 0.845 0.139
Li 0.355 0.071 0.927
Li 0.422 0.283 0.711
Li 0.500 0.500 0.500
Li 0.578 0.717 0.289
Li 0.645 0.929 0.073
Li 0.724 0.155 0.861
Li 0.793 0.361 0.654
Li 0.857 0.571 0.432
Li 0.933 0.777 0.208
Co 0.071 0.711 0.788
Co 0.142 0.928 0.571
Co 0.214 0.144 0.356
Co 0.280 0.361 0.140
Co 0.354 0.571 0.930
Co 0.428 0.786 0.715
Co 0.500 0.000 0.500
Co 0.572 0.214 0.285
Co 0.646 0.429 0.070
Co 0.720 0.639 0.860
Co 0.786 0.856 0.644
Co 0.858 0.072 0.429
Co 0.929 0.289 0.212
O 0.017 0.253 0.023
O 0.063 0.947 0.770
O 0.092 0.485 0.788
O 0.135 0.163 0.556
O 0.152 0.696 0.588
O 0.206 0.380 0.342
O 0.223 0.909 0.370
O 0.296 0.127 0.158
O 0.301 0.591 0.135
O 0.348 0.806 0.917
O 0.362 0.337 0.943
O 0.419 0.019 0.700
O 0.441 0.555 0.732
O 0.491 0.234 0.484
O 0.509 0.766 0.516
O 0.559 0.445 0.268
O 0.581 0.981 0.300
O 0.638 0.663 0.057
O 0.652 0.194 0.083
O 0.699 0.409 0.865
O 0.704 0.873 0.842
O 0.777 0.091 0.630
O 0.794 0.620 0.658
O 0.848 0.304 0.412
O 0.865 0.837 0.444
O 0.908 0.515 0.212
O 0.937 0.053 0.230
O 0.983 0.747 0.977
CELL_PARAMETERS angstrom
7.499 0.000 0.000
-2.145 7.769 0.000
-2.146 -2.555 7.875

No. 3
! GGA+U Cr4H67C20N16O16, relaxed; values from VASP
! Calculated volume, Å³/cell: 1292.5
! E, eV per atom: -5.64
&SYSTEM
  ibrav = 0, nat = 123, ntyp = 5
/
ATOMIC_SPECIES
Cr 52.00 Cr.upf
H 1.01 H.upf
C 12.01 C.upf
N 14.01 N.upf
O 16.00 O.upf
ATOMIC_POSITIONS crystal
Cr 0.000 0.000 0.000
Cr 0.004 0.505 0.500
Cr 0.500 0.005 0.505
Cr 0.505 0.500 0.004
H 0.001 0.738 0.663
H 0.002 0.646 0.273
H 0.002 0.767 0.164
H 0.003 0.859 0.772
H 0.054 0.084 0.281
H 0.057 0.438 0.100
H 0.063 0.212 0.389
H 0.068 0.598 0.946
H 0.084 0.281 0.055
H 0.098 0.059 0.437
H 0.116 0.563 0.792
H 0.143 0.234 0.834
H 0.146 0.732 0.503
H 0.164 0.002 0.766
H 0.211 0.390 0.064
H 0.224 0.554 0.920
H 0.232 0.502 0.359
H 0.232 0.853 0.160
H 0.238 0.341 0.503
H 0.267 0.841 0.502
H 0.272 0.354 0.844
H 0.273 0.002 0.646
H 0.281 0.054 0.084
H 0.294 0.889 0.940
H 0.341 0.502 0.238
H 0.359 0.232 0.502
H 0.362 0.734 0.170
H 0.389 0.063 0.212
H 0.408 0.560 0.567
H 0.421 0.781 0.950
H 0.437 0.098 0.059
H 0.442 0.713 0.616
H 0.448 0.939 0.905
H 0.452 0.584 0.725
H 0.501 0.238 0.341
H 0.501 0.359 0.232
H 0.503 0.146 0.732
H 0.503 0.266 0.841
H 0.554 0.920 0.225
H 0.558 0.567 0.405
H 0.563 0.793 0.116
H 0.568 0.408 0.558
H 0.585 0.724 0.450
H 0.598 0.946 0.068
H 0.616 0.442 0.712
H 0.646 0.272 0.001
H 0.658 0.649 0.767
H 0.664 0.002 0.738
H 0.712 0.616 0.441
H 0.726 0.451 0.585
H 0.732 0.503 0.146
H 0.734 0.170 0.362
H 0.738 0.664 0.003
H 0.767 0.164 0.002
H 0.773 0.003 0.859
H 0.781 0.950 0.421
H 0.793 0.116 0.563
H 0.841 0.502 0.267
H 0.854 0.160 0.232
H 0.859 0.772 0.003
H 0.889 0.941 0.294
H 0.907 0.446 0.937
H 0.921 0.225 0.553
H 0.938 0.905 0.448
H 0.941 0.293 0.888
H 0.946 0.068 0.598
H 0.951 0.420 0.780
C 0.042 0.115 0.376
C 0.113 0.377 0.044
C 0.129 0.542 0.890
C 0.140 0.864 0.639
C 0.176 0.328 0.841
C 0.329 0.828 0.163
C 0.365 0.365 0.365
C 0.376 0.042 0.115
C 0.391 0.877 0.961
C 0.464 0.616 0.630
C 0.542 0.890 0.129
C 0.614 0.629 0.461
C 0.631 0.463 0.615
C 0.640 0.139 0.865
C 0.675 0.674 0.670
C 0.828 0.163 0.329
C 0.865 0.639 0.140
C 0.877 0.961 0.391
C 0.890 0.129 0.542
C 0.963 0.390 0.875
N 0.039 0.820 0.693
N 0.095 0.410 0.910
N 0.184 0.811 0.538
N 0.194 0.966 0.684
N 0.311 0.466 0.321
N 0.321 0.311 0.467
N 0.410 0.910 0.094
N 0.466 0.321 0.312
N 0.538 0.184 0.811
N 0.597 0.596 0.594
N 0.684 0.193 0.966
N 0.693 0.038 0.820
N 0.811 0.538 0.184
N 0.821 0.694 0.038
N 0.910 0.094 0.410
N 0.967 0.684 0.194
O 0.043 0.921 0.124
O 0.083 0.381 0.541
O 0.094 0.594 0.411
O 0.124 0.042 0.921
O 0.381 0.542 0.083
O 0.411 0.094 0.594
O 0.422 0.880 0.463
O 0.462 0.421 0.880
O 0.542 0.084 0.381
O 0.584 0.624 0.961
O 0.594 0.411 0.093
O 0.624 0.964 0.583
O 0.880 0.463 0.421
O 0.911 0.911 0.911
O 0.921 0.124 0.042
O 0.962 0.582 0.625
CELL_PARAMETERS angstrom
10.885 0.000 0.000
-0.028 10.891 0.000
-0.017 -0.007 10.903

Record-wise energy relative to the elements values, in meV per atom: -2414 -1712 -404